[1]
Compound: Li2CdBi
Source: the Materials Project database
Functional: meta-GGA r2SCAN
Structure: optimized geometry

Unit cell a=6.9082 b=6.9082 c=6.9082 alpha=90.00 beta=90.00 gamma=90.00
Space group Fm-3m (No. 225)
One atom of each set of equivalent atoms:
Li  0.2500  0.2500  0.2500 (multiplicity 8)
Cd  0.0000  0.0000  0.0000 (multiplicity 4)
Bi  0.0000  0.0000  0.5000 (multiplicity 4)

The calculation puts the magnetization at 0.00 Bohr magnetons per cell. Its energy of formation from the pure elements is -0.39 eV per atom.

***

[2]
Compound: Sr9Cd4Bi9
Source: the Materials Project database
Functional: meta-GGA r2SCAN
Structure: optimized geometry

Unit cell a=13.3751 b=23.5872 c=4.9285 alpha=90.00 beta=90.00 gamma=90.00
Space group Pbam (No. 55)
One atom of each set of equivalent atoms:
Sr  0.0000  0.0000  0.0000 (multiplicity 2)
Sr  0.0655  0.4108  0.5000 (multiplicity 4)
Sr  0.1249  0.2357  0.5000 (multiplicity 4)
Sr  0.1324  0.8643  0.5000 (multiplicity 4)
Sr  0.2093  0.6026  0.0000 (multiplicity 4)
Cd  0.1134  0.7614  0.0000 (multiplicity 4)
Cd  0.2288  0.4543  0.0000 (multiplicity 4)
Bi  0.0000  0.5000  0.0000 (multiplicity 2)
Bi  0.0429  0.1461  0.0000 (multiplicity 4)
Bi  0.1177  0.6927  0.5000 (multiplicity 4)
Bi  0.1894  0.0093  0.5000 (multiplicity 4)
Bi  0.1900  0.3314  0.0000 (multiplicity 4)

The calculation puts the magnetization at 0.00 Bohr magnetons per cell. Its energy of formation from the pure elements is -0.86 eV per atom.

***

[3]
Compound: CeBi3
Source: the Materials Project database
Functional: meta-GGA r2SCAN
Structure: optimized geometry

Unit cell a=4.6766 b=4.6766 c=11.2798 alpha=90.00 beta=90.00 gamma=90.00
Space group I4/mmm (No. 139)
One atom of each set of equivalent atoms:
Ce  0.0000  0.0000  0.0000 (multiplicity 2)
Bi  0.0000  0.0000  0.5000 (multiplicity 2)
Bi  0.0000  0.5000  0.2500 (multiplicity 4)

The calculation puts the magnetization at 1.77 Bohr magnetons per cell. Its energy of formation from the pure elements is -0.50 eV per atom.